# PBE-GGA Te2As2SI6O2F12, relaxed
# - ΔH_f (0 K) (eV/atom) = -1.44
# - total magnetization (μB/f.u.) = 0.00
data_Te2As2SI6O2F12
_chemical_formula_sum 'Te8 As8 S4 I24 O8 F48'
_symmetry_space_group_name_H-M 'P 1'
_symmetry_Int_Tables_number 1
_symmetry_space_group_name_Hall 'P 1'
_cell_length_a 14.3052
_cell_length_b 14.4387
_cell_length_c 14.6129
_cell_angle_alpha 85.13
_cell_angle_beta 89.40
_cell_angle_gamma 83.91
loop_
_atom_site_label
_atom_site_type_symbol
_atom_site_fract_x
_atom_site_fract_y
_atom_site_fract_z
Te1 Te 0.0000 0.0000 0.0000
Te2 Te 0.0106 0.9729 0.2085
Te3 Te 0.3652 0.5100 0.5244
Te4 Te 0.3770 0.4360 0.7227
Te5 Te 0.5207 0.9601 0.3696
Te6 Te 0.5951 0.0491 0.7877
Te7 Te 0.7750 0.5613 0.9509
Te8 Te 0.8259 0.4609 0.1205
As1 As 0.0034 0.2723 0.9809
As2 As 0.0958 0.5141 0.5040
As3 As 0.2815 0.0458 0.0693
As4 As 0.2913 0.2329 0.5931
As5 As 0.4289 0.7860 0.5874
As6 As 0.5598 0.4196 0.1241
As7 As 0.7776 0.8972 0.6032
As8 As 0.8699 0.7209 0.1429
S1 S 0.2103 0.5504 0.0894
S2 S 0.2406 0.8557 0.7209
S3 S 0.6725 0.0562 0.0786
S4 S 0.6991 0.4164 0.5316
I1 I 0.0036 0.4449 0.7710
I2 I 0.0467 0.8683 0.3974
I3 I 0.0935 0.7922 0.7582
I4 I 0.0999 0.1360 0.7877
I5 I 0.1122 0.1336 0.5060
I6 I 0.1641 0.6398 0.9456
I7 I 0.2253 0.3833 0.2687
I8 I 0.2382 0.6648 0.1921
I9 I 0.2782 0.9214 0.2878
I10 I 0.3401 0.3804 0.9108
I11 I 0.3422 0.8505 0.8522
I12 I 0.4946 0.1897 0.8663
I13 I 0.5106 0.1320 0.2793
I14 I 0.5256 0.6688 0.2269
I15 I 0.5378 0.6612 0.9155
I16 I 0.6400 0.9249 0.9814
I17 I 0.6773 0.8822 0.2880
I18 I 0.7499 0.3710 0.6893
I19 I 0.7958 0.3355 0.4218
I20 I 0.8048 0.1692 0.7450
I21 I 0.8521 0.7096 0.7564
I22 I 0.8569 0.1081 0.3393
I23 I 0.9156 0.7433 0.4838
I24 I 0.9900 0.4065 0.3636
O1 O 0.0497 0.3782 0.8789
O2 O 0.1220 0.4578 0.3316
O3 O 0.1372 0.9594 0.3057
O4 O 0.5700 0.5448 0.2383
O5 O 0.6322 0.5553 0.9440
O6 O 0.6783 0.1438 0.0202
O7 O 0.7627 0.8214 0.7040
O8 O 0.7963 0.8164 0.5129
F1 F 0.0011 0.5408 0.5827
F2 F 0.0112 0.1707 0.0728
F3 F 0.0486 0.3525 0.6818
F4 F 0.0587 0.6182 0.4312
F5 F 0.0682 0.3331 0.0524
F6 F 0.0710 0.8545 0.1763
F7 F 0.0889 0.0779 0.6671
F8 F 0.1070 0.2008 0.9314
F9 F 0.1260 0.9244 0.9929
F10 F 0.1313 0.1737 0.3760
F11 F 0.1772 0.5780 0.5623
F12 F 0.2469 0.4214 0.7068
F13 F 0.2847 0.4040 0.5036
F14 F 0.2937 0.1023 0.9583
F15 F 0.3174 0.1272 0.6623
F16 F 0.3199 0.1367 0.1280
F17 F 0.3475 0.5643 0.7485
F18 F 0.3551 0.7673 0.4962
F19 F 0.3674 0.2003 0.5041
F20 F 0.3837 0.2897 0.6562
F21 F 0.3919 0.9785 0.0655
F22 F 0.3955 0.9086 0.5805
F23 F 0.4377 0.4119 0.1442
F24 F 0.4475 0.8954 0.2651
F25 F 0.4630 0.5875 0.5678
F26 F 0.4686 0.4227 0.4955
F27 F 0.5064 0.6632 0.0556
F28 F 0.5241 0.6899 0.3574
F29 F 0.5309 0.8010 0.5191
F30 F 0.5689 0.3374 0.0392
F31 F 0.5692 0.6589 0.7833
F32 F 0.5738 0.1064 0.6624
F33 F 0.5971 0.3351 0.2156
F34 F 0.5993 0.0011 0.4650
F35 F 0.7431 0.6767 0.0232
F36 F 0.7791 0.4374 0.9000
F37 F 0.8139 0.6203 0.1920
F38 F 0.8396 0.9764 0.3936
F39 F 0.8457 0.3401 0.0677
F40 F 0.8486 0.0388 0.8005
F41 F 0.8685 0.0491 0.0253
F42 F 0.8701 0.2531 0.2920
F43 F 0.8937 0.9180 0.1918
F44 F 0.8982 0.9136 0.6164
F45 F 0.9395 0.5694 0.8378
F46 F 0.9419 0.6576 0.0663
F47 F 0.9492 0.8832 0.9933
F48 F 0.9533 0.7068 0.2319

***

# PBE-GGA AsSI2F6, relaxed
# - ΔH_f (0 K) (eV/atom) = -1.79
data_AsSI2F6
_chemical_formula_sum 'As8 S8 I16 F48'
_symmetry_space_group_name_H-M 'C 1 2/c 1'
_symmetry_Int_Tables_number 15
_symmetry_space_group_name_Hall '-C 2yc'
_cell_length_a 9.6033
_cell_length_b 13.3348
_cell_length_c 14.1722
_cell_angle_alpha 90.00
_cell_angle_beta 94.71
_cell_angle_gamma 90.00
loop_
_atom_site_label
_atom_site_type_symbol
_atom_site_fract_x
_atom_site_fract_y
_atom_site_fract_z
As1 As 0.0000 0.0000 0.0000
As2 As 0.0000 0.3224 0.2500
S1 S 0.0970 0.1928 0.7538
I1 I 0.1200 0.3609 0.9190
I2 I 0.1522 0.3378 0.6126
F1 F 0.0699 0.0293 0.3915
F2 F 0.0932 0.1166 0.0039
F3 F 0.0993 0.3204 0.3617
F4 F 0.1106 0.4161 0.2083
F5 F 0.1128 0.2281 0.2103
F6 F 0.1454 0.0586 0.5623

***

# PBE-GGA AsSe6IF6, relaxed
# - ΔH_f (0 K) (eV/atom) = -1.29
# - total magnetization (μB/f.u.) = 0.00
data_AsSe6IF6
_chemical_formula_sum 'As2 Se12 I2 F12'
_symmetry_space_group_name_H-M 'P 1 2/c 1'
_symmetry_Int_Tables_number 13
_symmetry_space_group_name_Hall '-P 2yc'
_cell_length_a 9.3360
_cell_length_b 7.1678
_cell_length_c 11.9542
_cell_angle_alpha 90.00
_cell_angle_beta 120.25
_cell_angle_gamma 90.00
loop_
_atom_site_label
_atom_site_type_symbol
_atom_site_fract_x
_atom_site_fract_y
_atom_site_fract_z
As1 As 0.0000 0.0000 0.0000
Se1 Se 0.2371 0.4275 0.3832
Se2 Se 0.3321 0.2565 0.8849
Se3 Se 0.4439 0.2405 0.3907
I1 I 0.5000 0.2788 0.7500
F1 F 0.0487 0.2130 0.5881
F2 F 0.0707 0.0939 0.3990
F3 F 0.2033 0.0857 0.1080

***

# PBE-GGA AsSeI3F6, relaxed
# - ΔH_f (0 K) (eV/atom) = -1.60
# - total magnetization (μB/f.u.) = 0.02
data_AsSeI3F6
_chemical_formula_sum 'As4 Se4 I12 F24'
_symmetry_space_group_name_H-M 'P 1 21/c 1'
_symmetry_Int_Tables_number 14
_symmetry_space_group_name_Hall '-P 2ybc'
_cell_length_a 8.6970
_cell_length_b 10.4748
_cell_length_c 12.7989
_cell_angle_alpha 90.00
_cell_angle_beta 99.03
_cell_angle_gamma 90.00
loop_
_atom_site_label
_atom_site_type_symbol
_atom_site_fract_x
_atom_site_fract_y
_atom_site_fract_z
As1 As 0.1976 0.2255 0.0666
Se1 Se 0.2013 0.6812 0.6990
I1 I 0.2096 0.5907 0.2667
I2 I 0.2620 0.5409 0.8623
I3 I 0.4442 0.6731 0.6106
F1 F 0.0125 0.2232 0.5019
F2 F 0.1194 0.0737 0.0901
F3 F 0.1548 0.2166 0.6889
F4 F 0.2415 0.1695 0.9421
F5 F 0.2782 0.1222 0.5408
F6 F 0.3845 0.1755 0.1277

***

# PBE-GGA InAsF6, relaxed
# - ΔH_f (0 K) (eV/atom) = -2.40
# - total magnetization (μB/f.u.) = 0.00
data_InAsF6
_chemical_formula_sum 'In3 As3 F18'
_symmetry_space_group_name_H-M 'R -3'
_symmetry_Int_Tables_number 148
_symmetry_space_group_name_Hall '-R 3'
_cell_length_a 7.6387
_cell_length_b 7.6387
_cell_length_c 7.8598
_cell_angle_alpha 90.00
_cell_angle_beta 90.00
_cell_angle_gamma 120.00
loop_
_atom_site_label
_atom_site_type_symbol
_atom_site_fract_x
_atom_site_fract_y
_atom_site_fract_z
In1 In 0.0000 0.0000 0.0000
As1 As 0.0000 0.0000 0.5000
F1 F 0.0707 0.8564 0.6321

***

# PBE-GGA K2InAsF6, relaxed
# - ΔH_f (0 K) (eV/atom) = -2.51
# - total magnetization (μB/f.u.) = 0.00
data_K2InAsF6
_chemical_formula_sum 'K8 In4 As4 F24'
_symmetry_space_group_name_H-M 'F m -3 m'
_symmetry_Int_Tables_number 225
_symmetry_space_group_name_Hall '-F 4 2 3'
_cell_length_a 9.2790
_cell_length_b 9.2790
_cell_length_c 9.2790
_cell_angle_alpha 90.00
_cell_angle_beta 90.00
_cell_angle_gamma 90.00
loop_
_atom_site_label
_atom_site_type_symbol
_atom_site_fract_x
_atom_site_fract_y
_atom_site_fract_z
K1 K 0.2500 0.2500 0.2500
In1 In 0.0000 0.0000 0.0000
As1 As 0.0000 0.0000 0.5000
F1 F 0.0000 0.0000 0.2764

***

# PBE-GGA KAs2F7, relaxed
# - ΔH_f (0 K) (eV/atom) = -2.63
data_KAs2F7
_chemical_formula_sum 'K4 As8 F28'
_symmetry_space_group_name_H-M 'P 1 21/c 1'
_symmetry_Int_Tables_number 14
_symmetry_space_group_name_Hall '-P 2ybc'
_cell_length_a 11.1191
_cell_length_b 7.4678
_cell_length_c 8.9675
_cell_angle_alpha 90.00
_cell_angle_beta 110.52
_cell_angle_gamma 90.00
loop_
_atom_site_label
_atom_site_type_symbol
_atom_site_fract_x
_atom_site_fract_y
_atom_site_fract_z
K1 K 0.0781 0.1548 0.2235
As1 As 0.2256 0.6807 0.1599
As2 As 0.4036 0.1704 0.1287
F1 F 0.0663 0.6797 0.5996
F2 F 0.1330 0.5048 0.2065
F3 F 0.1771 0.6259 0.9515
F4 F 0.2360 0.2023 0.0179
F5 F 0.3663 0.5058 0.1964
F6 F 0.3713 0.1213 0.3055
F7 F 0.3902 0.5604 0.5664

***

# PBE-GGA K2LiAsF6, relaxed
# - ΔH_f (0 K) (eV/atom) = -2.82
# - total magnetization (μB/f.u.) = 0.00
data_K2LiAsF6
_chemical_formula_sum 'K8 Li4 As4 F24'
_symmetry_space_group_name_H-M 'F m -3 m'
_symmetry_Int_Tables_number 225
_symmetry_space_group_name_Hall '-F 4 2 3'
_cell_length_a 8.3448
_cell_length_b 8.3448
_cell_length_c 8.3448
_cell_angle_alpha 90.00
_cell_angle_beta 90.00
_cell_angle_gamma 90.00
loop_
_atom_site_label
_atom_site_type_symbol
_atom_site_fract_x
_atom_site_fract_y
_atom_site_fract_z
K1 K 0.2500 0.2500 0.2500
Li1 Li 0.0000 0.0000 0.0000
As1 As 0.0000 0.0000 0.5000
F1 F 0.0000 0.0000 0.2517

***

# PBE-GGA KMgAs3F18, relaxed
# - ΔH_f (0 K) (eV/atom) = -2.73
# - total magnetization (μB/f.u.) = 0.00
data_KMgAs3F18
_chemical_formula_sum 'K4 Mg4 As12 F72'
_symmetry_space_group_name_H-M 'P n m a'
_symmetry_Int_Tables_number 62
_symmetry_space_group_name_Hall '-P 2ac 2n'
_cell_length_a 10.6105
_cell_length_b 14.2949
_cell_length_c 9.7278
_cell_angle_alpha 90.00
_cell_angle_beta 90.00
_cell_angle_gamma 90.00
loop_
_atom_site_label
_atom_site_type_symbol
_atom_site_fract_x
_atom_site_fract_y
_atom_site_fract_z
K1 K 0.0745 0.2500 0.0272
Mg1 Mg 0.0000 0.0000 0.5000
As1 As 0.0210 0.7500 0.4000
As2 As 0.2057 0.5467 0.8029
F1 F 0.0105 0.2500 0.4236
F2 F 0.0233 0.6222 0.4009
F3 F 0.0552 0.7500 0.2232
F4 F 0.0808 0.5506 0.6733
F5 F 0.1230 0.6306 0.8997
F6 F 0.1262 0.0425 0.8908
F7 F 0.1392 0.2500 0.6385
F8 F 0.1695 0.0454 0.4317
F9 F 0.1841 0.7500 0.4343
F10 F 0.2128 0.5356 0.2059
F11 F 0.2161 0.1379 0.2164